The following is a DFT calculation (PBE with a Hubbard U) of a relaxed structure of BaCeEuCrO6.

Unit cell a=5.8690 b=5.8690 c=5.8690 alpha=60.00 beta=60.00 gamma=60.00
Positions (direct):
Ba  0.0000  0.0000  0.0000
Ce  0.2500  0.2500  0.2500
Eu  0.5000  0.5000  0.5000
Cr  0.7500  0.7500  0.7500
O  0.5146  0.5146  0.9854
O  0.5146  0.9854  0.5146
O  0.5146  0.9854  0.9854
O  0.9854  0.5146  0.5146
O  0.9854  0.5146  0.9854
O  0.9854  0.9854  0.5146

Summary:
Density ... 6.71 g/cm³
Total magnetization ... 4.24 Bohr magnetons per cell
Energy of formation ... -3.030 eV per atom

The following is a DFT calculation (PBE with a Hubbard U) of a relaxed structure of BaCeEuNiO6.

Unit cell a=5.8440 b=5.8440 c=5.8440 alpha=60.00 beta=60.00 gamma=60.00
Positions (direct):
Ba  0.0000  0.0000  0.0000
Ce  0.7500  0.7500  0.7500
Eu  0.5000  0.5000  0.5000
Ni  0.2500  0.2500  0.2500
O  0.0155  0.0155  0.4845
O  0.0155  0.4845  0.0155
O  0.0155  0.4845  0.4845
O  0.4845  0.0155  0.0155
O  0.4845  0.0155  0.4845
O  0.4845  0.4845  0.0155

Summary:
Density ... 6.87 g/cm³
Total magnetization ... 7.00 Bohr magnetons per cell
Energy of formation ... -2.652 eV per atom

The following is a DFT calculation (PBE with a Hubbard U) of a relaxed structure of BaCeEuWO6.

Unit cell a=6.0123 b=6.0943 c=8.5157 alpha=89.95 beta=89.66 gamma=89.76
Positions (direct):
Ba  0.0095  0.4686  0.2492
Ba  0.9905  0.5314  0.7508
Ce  0.0000  0.0000  0.0000
Ce  0.5000  0.5000  0.5000
Eu  0.4907  0.9593  0.2486
Eu  0.5093  0.0407  0.7514
W  0.0000  0.0000  0.5000
W  0.5000  0.5000  0.0000
O  0.0965  0.9937  0.7353
O  0.2075  0.7341  0.4591
O  0.2303  0.7175  0.0389
O  0.2892  0.1990  0.4541
O  0.3103  0.2143  0.0440
O  0.4374  0.4650  0.7636
O  0.5626  0.5350  0.2364
O  0.6897  0.7857  0.9560
O  0.7108  0.8010  0.5459
O  0.7697  0.2825  0.9611
O  0.7925  0.2659  0.5409
O  0.9035  0.0063  0.2647

Summary:
Density ... 7.55 g/cm³
Relative energy among the computed polymorphs ... 0 meV/atom
Total magnetization ... 17.93 Bohr magnetons per cell
Energy of formation ... -3.090 eV per atom

The following is a DFT calculation (PBE with a Hubbard U) of a relaxed structure of BaCeEuWO6.

Unit cell a=6.0685 b=6.0685 c=6.0685 alpha=60.00 beta=60.00 gamma=60.00
Positions (direct):
Ba  0.0000  0.0000  0.0000
Ce  0.7500  0.7500  0.7500
Eu  0.5000  0.5000  0.5000
W  0.2500  0.2500  0.2500
O  0.0119  0.0119  0.4881
O  0.0119  0.4881  0.0119
O  0.0119  0.4881  0.4881
O  0.4881  0.0119  0.0119
O  0.4881  0.0119  0.4881
O  0.4881  0.4881  0.0119

Summary:
Density ... 7.45 g/cm³
Relative energy among the computed polymorphs ... 114 meV/atom
Total magnetization ... 9.00 Bohr magnetons per cell
Energy of formation ... -2.975 eV per atom

The following is a DFT calculation (PBE with a Hubbard U) of a relaxed structure of Ba2Ce2Ti2FeSi8O26.

Unit cell a=7.2739 b=7.2739 c=11.8105 alpha=104.00 beta=104.00 gamma=85.71
Positions (direct):
Ba  0.2492  0.2492  0.4988
Ba  0.7508  0.7508  0.5012
Ce  0.0750  0.5666  0.0461
Ce  0.4334  0.9250  0.9539
Ti  0.2025  0.7037  0.3723
Ti  0.2963  0.7975  0.6277
Fe  0.6454  0.3546  0.0000
Si  0.0575  0.1603  0.7858
Si  0.0567  0.5496  0.7443
Si  0.4500  0.3453  0.2166
Si  0.4504  0.9433  0.2557
Si  0.6248  0.1269  0.7387
Si  0.6547  0.5500  0.7834
Si  0.8397  0.9425  0.2142
Si  0.8731  0.3752  0.2613
O  0.0139  0.7905  0.2330
O  0.0185  0.5121  0.3698
O  0.0730  0.2715  0.9224
O  0.0892  0.3142  0.7072
O  0.1157  0.6150  0.6356
O  0.1190  0.8810  0.5000
O  0.1594  0.6490  0.8806
O  0.2095  0.9861  0.7670
O  0.2881  0.5093  0.2315
O  0.3510  0.8406  0.1194
O  0.3810  0.6190  0.5000
O  0.3850  0.8843  0.3644
O  0.4112  0.1778  0.2810
O  0.4572  0.2632  0.0769
O  0.4879  0.9815  0.6302
O  0.4907  0.7119  0.7685
O  0.5664  0.3389  0.7074
O  0.5971  0.1265  0.8696
O  0.6611  0.4336  0.2926
O  0.6858  0.9108  0.2928
O  0.7285  0.9270  0.0776
O  0.7368  0.5428  0.9231
O  0.8222  0.5888  0.7190
O  0.8421  0.0704  0.7194
O  0.8735  0.4029  0.1304
O  0.9296  0.1579  0.2806

Summary:
Density ... 3.80 g/cm³
Total magnetization ... 6.00 Bohr magnetons per cell
Energy of formation ... -3.341 eV per atom

The following is a DFT calculation (PBE with a Hubbard U) of a relaxed structure of BaNaCeMnO6.

Unit cell a=5.8715 b=5.8715 c=5.8715 alpha=60.00 beta=60.00 gamma=60.00
Positions (direct):
Ba  0.0000  0.0000  0.0000
Na  0.5000  0.5000  0.5000
Ce  0.7500  0.7500  0.7500
Mn  0.2500  0.2500  0.2500
O  0.0176  0.0176  0.4824
O  0.0176  0.4824  0.0176
O  0.0176  0.4824  0.4824
O  0.4824  0.0176  0.0176
O  0.4824  0.0176  0.4824
O  0.4824  0.4824  0.0176

Summary:
Density ... 5.24 g/cm³
Total magnetization ... 4.00 Bohr magnetons per cell
Energy of formation ... -2.586 eV per atom

The following is a DFT calculation (PBE with a Hubbard U) of a relaxed structure of Ba4CeMn3O12.

Unit cell a=10.3258 b=10.3258 c=10.3258 alpha=33.14 beta=33.14 gamma=33.14
Positions (direct):
Ba  0.1308  0.1308  0.1308
Ba  0.2815  0.2815  0.2815
Ba  0.7185  0.7185  0.7185
Ba  0.8692  0.8692  0.8692
Ce  0.0000  0.0000  0.0000
Mn  0.4125  0.4125  0.4125
Mn  0.5000  0.5000  0.5000
Mn  0.5875  0.5875  0.5875
O  0.1649  0.6044  0.6044
O  0.2205  0.2205  0.6923
O  0.2205  0.6923  0.2205
O  0.3077  0.7795  0.7795
O  0.3956  0.3956  0.8351
O  0.3956  0.8351  0.3956
O  0.6044  0.1649  0.6044
O  0.6044  0.6044  0.1649
O  0.6923  0.2205  0.2205
O  0.7795  0.3077  0.7795
O  0.7795  0.7795  0.3077
O  0.8351  0.3956  0.3956

Summary:
Density ... 5.93 g/cm³
Total magnetization ... 9.00 Bohr magnetons per cell
Energy of formation ... -2.776 eV per atom

The following is a DFT calculation (PBE with a Hubbard U) of a relaxed structure of BaNaCeWO6.

Unit cell a=6.0291 b=6.0291 c=6.0291 alpha=60.00 beta=60.00 gamma=60.00
Positions (direct):
Ba  0.0000  0.0000  0.0000
Na  0.5000  0.5000  0.5000
Ce  0.7500  0.7500  0.7500
W  0.2500  0.2500  0.2500
O  0.0181  0.0181  0.4819
O  0.0181  0.4819  0.0181
O  0.0181  0.4819  0.4819
O  0.4819  0.0181  0.0181
O  0.4819  0.0181  0.4819
O  0.4819  0.4819  0.0181

Summary:
Density ... 6.22 g/cm³
Relative energy among the computed polymorphs ... 44 meV/atom
Total magnetization ... 1.00 Bohr magnetons per cell
Energy of formation ... -2.845 eV per atom

The following is a DFT calculation (PBE with a Hubbard U) of a relaxed structure of BaNaCeWO6.

Unit cell a=8.4338 b=8.4567 c=8.4963 alpha=90.00 beta=90.00 gamma=90.00
Positions (direct):
Ba  0.2500  0.2500  0.2500
Ba  0.2500  0.2500  0.7500
Ba  0.7500  0.7500  0.2500
Ba  0.7500  0.7500  0.7500
Na  0.2500  0.7500  0.2500
Na  0.2500  0.7500  0.7500
Na  0.7500  0.2500  0.2500
Na  0.7500  0.2500  0.7500
Ce  0.0000  0.0000  0.0000
Ce  0.0000  0.5000  0.5000
Ce  0.5000  0.0000  0.5000
Ce  0.5000  0.5000  0.0000
W  0.0000  0.0000  0.5000
W  0.0000  0.5000  0.0000
W  0.5000  0.0000  0.0000
W  0.5000  0.5000  0.5000
O  0.0303  0.2399  0.4868
O  0.0303  0.2601  0.0132
O  0.0360  0.5208  0.2394
O  0.0360  0.9792  0.2606
O  0.2279  0.5197  0.9613
O  0.2279  0.9803  0.5387
O  0.2721  0.5197  0.5387
O  0.2721  0.9803  0.9613
O  0.4640  0.5208  0.2606
O  0.4640  0.9792  0.2394
O  0.4697  0.2399  0.0132
O  0.4697  0.2601  0.4868
O  0.5303  0.7399  0.5132
O  0.5303  0.7601  0.9868
O  0.5360  0.0208  0.7606
O  0.5360  0.4792  0.7394
O  0.7279  0.0197  0.0387
O  0.7279  0.4803  0.4613
O  0.7721  0.0197  0.4613
O  0.7721  0.4803  0.0387
O  0.9640  0.0208  0.7394
O  0.9640  0.4792  0.7606
O  0.9697  0.7399  0.9868
O  0.9697  0.7601  0.5132

Summary:
Density ... 6.36 g/cm³
Relative energy among the computed polymorphs ... 0 meV/atom
Total magnetization ... 4.00 Bohr magnetons per cell
Energy of formation ... -2.889 eV per atom

The following is a DFT calculation (PBE with a Hubbard U) of a relaxed structure of Ba2FeCoClF7.

Unit cell a=7.8262 b=5.9581 c=9.0747 alpha=90.00 beta=106.75 gamma=90.00
Positions (direct):
Ba  0.1649  0.2500  0.4104
Ba  0.1950  0.2500  0.9283
Ba  0.8050  0.7500  0.0717
Ba  0.8351  0.7500  0.5896
Fe  0.3296  0.7500  0.7324
Fe  0.6704  0.2500  0.2676
Co  0.3133  0.7500  0.1728
Co  0.6867  0.2500  0.8272
Cl  0.3823  0.7500  0.4641
Cl  0.6177  0.2500  0.5359
F  0.1260  0.5075  0.1595
F  0.1260  0.9925  0.1595
F  0.1419  0.0016  0.6547
F  0.1419  0.4984  0.6547
F  0.2440  0.7500  0.9348
F  0.4889  0.0013  0.1708
F  0.4889  0.4987  0.1708
F  0.5111  0.5013  0.8292
F  0.5111  0.9987  0.8292
F  0.7560  0.2500  0.0652
F  0.8581  0.5016  0.3453
F  0.8581  0.9984  0.3453
F  0.8740  0.0075  0.8405
F  0.8740  0.4925  0.8405

Summary:
Density ... 4.57 g/cm³
Total magnetization ... 14.00 Bohr magnetons per cell
Energy of formation ... -3.122 eV per atom

The following is a DFT calculation (PBE with a Hubbard U) of a relaxed structure of Ba6Mn4Co2ClO16.

Unit cell a=14.9351 b=5.8203 c=5.8203 alpha=60.02 beta=90.00 gamma=90.00
Positions (direct):
Ba  0.0000  0.0000  0.0000
Ba  0.1486  0.3336  0.3336
Ba  0.2972  0.0005  0.0005
Ba  0.5000  0.6632  0.6632
Ba  0.7028  0.0005  0.0005
Ba  0.8514  0.3336  0.3336
Mn  0.0854  0.6669  0.6669
Mn  0.2591  0.6670  0.6670
Mn  0.7409  0.6670  0.6670
Mn  0.9146  0.6669  0.6669
Co  0.3793  0.3337  0.3337
Co  0.6207  0.3337  0.3337
Cl  0.5000  0.0041  0.0041
O  0.0000  0.5181  0.5181
O  0.0000  0.5211  0.9614
O  0.0000  0.9614  0.5211
O  0.1655  0.3755  0.8120
O  0.1655  0.8120  0.3755
O  0.1657  0.8145  0.8145
O  0.3280  0.5078  0.5078
O  0.3300  0.5101  0.9829
O  0.3300  0.9829  0.5101
O  0.5000  0.3475  0.3475
O  0.6700  0.5101  0.9829
O  0.6700  0.9829  0.5101
O  0.6720  0.5078  0.5078
O  0.8343  0.8145  0.8145
O  0.8345  0.3755  0.8120
O  0.8345  0.8120  0.3755

Summary:
Density ... 5.51 g/cm³
Total magnetization ... 19.00 Bohr magnetons per cell
Energy of formation ... -2.359 eV per atom

The following is a DFT calculation (PBE with a Hubbard U) of a relaxed structure of Ba8Mn6Co2ClO22.

Unit cell a=19.8983 b=5.8130 c=5.8130 alpha=60.03 beta=90.00 gamma=90.00
Positions (direct):
Ba  0.0000  0.0000  0.0000
Ba  0.1175  0.6667  0.6667
Ba  0.2345  0.9997  0.9997
Ba  0.3472  0.6673  0.6673
Ba  0.5000  0.3366  0.3366
Ba  0.6528  0.6673  0.6673
Ba  0.7655  0.9997  0.9997
Ba  0.8825  0.6667  0.6667
Mn  0.0629  0.3334  0.3334
Mn  0.1897  0.3330  0.3330
Mn  0.3194  0.3340  0.3340
Mn  0.6806  0.3340  0.3340
Mn  0.8103  0.3330  0.3330
Mn  0.9371  0.3334  0.3334
Co  0.4098  0.0015  0.0015
Co  0.5902  0.0015  0.0015
Cl  0.5000  0.6614  0.6614
O  0.0000  0.0364  0.4818
O  0.0000  0.4818  0.0364
O  0.0000  0.4819  0.4819
O  0.1241  0.1850  0.1850
O  0.1242  0.1851  0.6299
O  0.1242  0.6299  0.1851
O  0.2489  0.0386  0.4801
O  0.2489  0.4801  0.0386
O  0.2492  0.4801  0.4801
O  0.3717  0.1752  0.6505
O  0.3717  0.6505  0.1752
O  0.3725  0.1729  0.1729
O  0.5000  0.9768  0.9768
O  0.6275  0.1729  0.1729
O  0.6283  0.1752  0.6505
O  0.6283  0.6505  0.1752
O  0.7511  0.0386  0.4801
O  0.7511  0.4801  0.0386
O  0.7508  0.4801  0.4801
O  0.8759  0.1850  0.1850
O  0.8758  0.1851  0.6299
O  0.8758  0.6299  0.1851

Summary:
Density ... 5.51 g/cm³
Total magnetization ... 25.00 Bohr magnetons per cell
Energy of formation ... -2.390 eV per atom

The following is a DFT calculation (PBE with a Hubbard U) of a relaxed structure of Ba2Co4ClO7.

Unit cell a=15.6942 b=15.6942 c=15.6942 alpha=21.09 beta=21.09 gamma=21.09
Positions (direct):
Ba  0.0699  0.0699  0.0699
Ba  0.2109  0.2109  0.2109
Ba  0.7891  0.7891  0.7891
Ba  0.9301  0.9301  0.9301
Co  0.0000  0.0000  0.0000
Co  0.0000  0.5000  0.5000
Co  0.2802  0.2802  0.2802
Co  0.3974  0.3974  0.3974
Co  0.5000  0.0000  0.5000
Co  0.5000  0.5000  0.0000
Co  0.6026  0.6026  0.6026
Co  0.7198  0.7198  0.7198
Cl  0.1398  0.1398  0.1398
Cl  0.8602  0.8602  0.8602
O  0.0505  0.5909  0.5909
O  0.1500  0.1500  0.6333
O  0.1500  0.6333  0.1500
O  0.3546  0.3546  0.3546
O  0.3667  0.8500  0.8500
O  0.4091  0.4091  0.9495
O  0.4091  0.9495  0.4091
O  0.5909  0.0505  0.5909
O  0.5909  0.5909  0.0505
O  0.6333  0.1500  0.1500
O  0.6454  0.6454  0.6454
O  0.8500  0.3667  0.8500
O  0.8500  0.8500  0.3667
O  0.9495  0.4091  0.4091

Summary:
Density ... 4.99 g/cm³
Total magnetization ... 10.00 Bohr magnetons per cell
Energy of formation ... -1.800 eV per atom